# PBE Rb3CuO2, relaxed
data_Rb3CuO2
_symmetry_space_group_name_H-M 'P 1'
_symmetry_Int_Tables_number 1
_cell_length_a 9.8018
_cell_length_b 6.8217
_cell_length_c 9.5744
_cell_angle_alpha 67.96
_cell_angle_beta 90.00
_cell_angle_gamma 90.00
loop_
_symmetry_equiv_pos_as_xyz
'x,y,z'
loop_
_atom_site_label
_atom_site_type_symbol
_atom_site_fract_x
_atom_site_fract_y
_atom_site_fract_z
Rb1 Rb 0.4655 0.2464 0.9952
Rb2 Rb 0.9655 0.7536 0.5048
Rb3 Rb 0.2917 0.7594 0.3128
Rb4 Rb 0.2083 0.7594 0.8128
Rb5 Rb 0.9749 0.7373 0.1250
Rb6 Rb 0.5345 0.7536 0.0048
Rb7 Rb 0.7917 0.2406 0.1872
Rb8 Rb 0.4749 0.2627 0.3750
Rb9 Rb 0.7083 0.2406 0.6872
Rb10 Rb 0.5251 0.7373 0.6250
Rb11 Rb 0.0345 0.2464 0.4952
Rb12 Rb 0.0251 0.2627 0.8750
O1 O 0.6983 0.4925 0.8783
O2 O 0.1983 0.5075 0.6217
O3 O 0.0612 0.0696 0.2222
O4 O 0.9388 0.9304 0.7778
O5 O 0.3017 0.5075 0.1217
O6 O 0.5612 0.9304 0.2778
O7 O 0.8017 0.4925 0.3783
O8 O 0.4388 0.0696 0.7222
Cu1 Cu 0.6794 0.7088 0.3270
Cu2 Cu 0.1794 0.2912 0.1730
Cu3 Cu 0.8206 0.7088 0.8270
Cu4 Cu 0.3206 0.2912 0.6730
# Volume   593.42 Å³ per cell
# Space-group type   P2_1/c, No. 14
# Theoretical density   3.94 g/cm3
# Formation energy   -1237.8 meV per atom
# Crystal system   monoclinic